Below is a geometry-optimized BaCaYNbO6 structure, with properties calculated at the PBE level.

Properties
Final energy (eV per atom): -7.95
V (A^3/atom): 15.21
Theoretical density (g/cm³): 5.0
Formation energy (eV per atom): -3.347
E (MP2020) (eV per atom): -8.365

Structure (CIF):
```
data_BaCaYNbO6
_symmetry_space_group_name_H-M 'F -4 3 m'
_symmetry_Int_Tables_number 216
_symmetry_space_group_name_Hall 'F -4 2 3'
_cell_length_a 8.473
_cell_length_b 8.473
_cell_length_c 8.473
_cell_angle_alpha 90.00
_cell_angle_beta 90.00
_cell_angle_gamma 90.00
loop_
_atom_site_label
_atom_site_type_symbol
_atom_site_fract_x
_atom_site_fract_y
_atom_site_fract_z
Ba1 Ba 0.000 0.000 0.000
Ca1 Ca 0.000 0.000 0.500
Y1 Y 0.250 0.250 0.250
Nb1 Nb 0.250 0.250 0.750
O1 O 0.013 0.250 0.750
```

Below is a geometry-optimized WN2 structure, with properties calculated at the PBE level.

Properties
Final energy (eV per atom): -9.51
V (A^3/atom): 9.98
Theoretical density (g/cm³): 11.7
Formation energy (eV per atom): 0.122
E (MP2020) (eV per atom): -9.755

Structure (CIF):
```
data_WN2
_symmetry_space_group_name_H-M 'R -3 m'
_symmetry_Int_Tables_number 166
_symmetry_space_group_name_Hall '-R 3 2"'
_cell_length_a 3.3194
_cell_length_b 3.3194
_cell_length_c 9.4166
_cell_angle_alpha 90.00
_cell_angle_beta 90.00
_cell_angle_gamma 120.00
loop_
_atom_site_label
_atom_site_type_symbol
_atom_site_fract_x
_atom_site_fract_y
_atom_site_fract_z
W1 W 0.0000 0.0000 0.0000
N1 N 0.0000 0.0000 0.2405
```

Below is a geometry-optimized BaSiC structure, with properties calculated at the PBE level.

Properties
Final energy (eV per atom): -4.94
V (A^3/atom): 31.20
Theoretical density (g/cm³): 3.1
Formation energy (eV per atom): 0.586
Piezoelectric modulus e_max (C/m2): 0.5
Excess energy over the best structure of this formula in the dataset (meV/atom): 409

Structure (CIF):
```
data_BaSiC
_symmetry_space_group_name_H-M 'I 4 m m'
_symmetry_Int_Tables_number 107
_symmetry_space_group_name_Hall 'I 4 -2'
_cell_length_a 4.838
_cell_length_b 4.838
_cell_length_c 7.995
_cell_angle_alpha 90.00
_cell_angle_beta 90.00
_cell_angle_gamma 90.00
loop_
_atom_site_label
_atom_site_type_symbol
_atom_site_fract_x
_atom_site_fract_y
_atom_site_fract_z
Ba1 Ba 0.000 0.000 0.000
Si1 Si 0.000 0.000 0.427
C1 C 0.000 0.000 0.641
```

Below is a geometry-optimized CuH36S8I2N9O12 structure, with properties calculated at the PBE level.

Properties
Final energy (eV per atom): -5.01
V (A^3/atom): 10.84
Theoretical density (g/cm³): 2.1
Formation energy (eV per atom): -0.767
E (MP2020) (eV per atom): -5.132

Structure (CIF):
```
data_CuH36S8I2N9O12
_symmetry_space_group_name_H-M 'I -4 2 d'
_symmetry_Int_Tables_number 122
_symmetry_space_group_name_Hall 'I -4 2bw'
_cell_length_a 13.263
_cell_length_b 13.263
_cell_length_c 16.762
_cell_angle_alpha 90.00
_cell_angle_beta 90.00
_cell_angle_gamma 90.00
loop_
_atom_site_label
_atom_site_type_symbol
_atom_site_fract_x
_atom_site_fract_y
_atom_site_fract_z
Cu1 Cu 0.000 0.000 0.000
H1 H 0.001 0.746 0.074
H2 H 0.006 0.064 0.464
H3 H 0.043 0.046 0.294
H4 H 0.044 0.046 0.778
H5 H 0.089 0.187 0.122
H6 H 0.161 0.226 0.732
H7 H 0.174 0.186 0.447
H8 H 0.186 0.749 0.473
H9 H 0.221 0.738 0.207
S1 S 0.022 0.745 0.349
S2 S 0.077 0.129 0.923
I1 I 0.004 0.250 0.625
N1 N 0.000 0.000 0.258
N2 N 0.000 0.000 0.500
N3 N 0.043 0.250 0.125
N4 N 0.213 0.232 0.486
O1 O 0.031 0.178 0.397
O2 O 0.054 0.712 0.979
O3 O 0.110 0.702 0.392
```

Below is a geometry-optimized Na3La2Ti2P5SO24 structure, with properties calculated at the PBE level.

Properties
Final energy (eV per atom): -7.37
V (A^3/atom): 14.94
Theoretical density (g/cm³): 3.0
Formation energy (eV per atom): -2.958
E (MP2020) (eV per atom): -7.811

Structure (CIF):
```
data_Na3La2Ti2P5SO24
_symmetry_space_group_name_H-M 'P 1'
_symmetry_Int_Tables_number 1
_cell_length_a 9.094
_cell_length_b 9.096
_cell_length_c 23.001
_cell_angle_alpha 89.80
_cell_angle_beta 89.96
_cell_angle_gamma 60.62
loop_
_symmetry_equiv_pos_as_xyz
'x,y,z'
loop_
_atom_site_label
_atom_site_type_symbol
_atom_site_fract_x
_atom_site_fract_y
_atom_site_fract_z
Na1 Na 0.000 0.000 0.000
Na2 Na 0.003 0.371 0.237
Na3 Na 0.332 0.345 0.658
Na4 Na 0.335 0.963 0.407
Na5 Na 0.352 0.337 0.156
Na6 Na 0.652 0.687 0.820
Na7 Na 0.670 0.682 0.321
Na8 Na 0.956 0.342 0.907
Na9 Na 0.989 0.006 0.499
La1 La 0.010 0.997 0.847
La2 La 0.668 0.694 0.165
La3 La 0.670 0.691 0.974
La4 La 0.682 0.675 0.668
La5 La 0.689 0.675 0.474
La6 La 0.991 0.008 0.348
Ti1 Ti 0.037 0.999 0.644
Ti2 Ti 0.329 0.353 0.508
Ti3 Ti 0.333 0.354 0.803
Ti4 Ti 0.345 0.352 0.302
Ti5 Ti 0.346 0.334 0.008
Ti6 Ti 0.996 0.022 0.146
P1 P 0.001 0.349 0.074
P2 P 0.004 0.684 0.574
P3 P 0.025 0.297 0.744
P4 P 0.025 0.704 0.239
P5 P 0.063 0.354 0.404
P6 P 0.069 0.611 0.909
P7 P 0.296 0.025 0.244
P8 P 0.305 0.701 0.741
P9 P 0.348 0.069 0.905
P10 P 0.351 0.617 0.407
P11 P 0.353 0.003 0.570
P12 P 0.603 0.078 0.408
P13 P 0.609 0.354 0.906
P14 P 0.677 0.010 0.074
P15 P 0.703 0.306 0.240
S1 S 0.340 0.681 0.074
S2 S 0.678 0.344 0.574
S3 S 0.697 0.032 0.738
O1 O 0.019 0.172 0.088
O2 O 0.019 0.843 0.589
O3 O 0.028 0.816 0.187
O4 O 0.039 0.169 0.694
O5 O 0.053 0.785 0.916
O6 O 0.062 0.187 0.411
O7 O 0.154 0.371 0.459
O8 O 0.160 0.352 0.347
O9 O 0.163 0.501 0.962
O10 O 0.164 0.523 0.851
O11 O 0.165 0.042 0.195
O12 O 0.173 0.833 0.082
O13 O 0.176 0.020 0.588
O14 O 0.180 0.067 0.912
O15 O 0.183 0.320 0.062
O16 O 0.183 0.534 0.561
O17 O 0.187 0.811 0.688
O18 O 0.193 0.305 0.745
O19 O 0.193 0.531 0.241
O20 O 0.193 0.793 0.413
O21 O 0.230 0.800 0.796
O22 O 0.231 0.002 0.304
O23 O 0.299 0.196 0.244
O24 O 0.305 0.530 0.743
O25 O 0.316 0.188 0.561
O26 O 0.316 0.533 0.063
O27 O 0.341 0.173 0.850
O28 O 0.343 0.524 0.350
O29 O 0.363 0.158 0.961
O30 O 0.363 0.510 0.461
O31 O 0.415 0.894 0.515
O32 O 0.422 0.714 0.023
O33 O 0.448 0.643 0.126
O34 O 0.473 0.875 0.234
O35 O 0.477 0.922 0.621
O36 O 0.484 0.673 0.733
O37 O 0.495 0.169 0.462
O38 O 0.502 0.892 0.901
O39 O 0.504 0.365 0.960
O40 O 0.508 0.641 0.403
O41 O 0.512 0.176 0.351
O42 O 0.513 0.351 0.849
O43 O 0.529 0.321 0.564
O44 O 0.530 0.191 0.060
O45 O 0.530 0.312 0.244
O46 O 0.531 0.192 0.739
O47 O 0.614 0.902 0.404
O48 O 0.620 0.948 0.127
O49 O 0.635 0.511 0.903
O50 O 0.639 0.455 0.625
O51 O 0.666 0.886 0.735
O52 O 0.684 0.481 0.229
O53 O 0.712 0.424 0.522
O54 O 0.719 0.889 0.022
O55 O 0.777 0.063 0.416
O56 O 0.785 0.195 0.910
O57 O 0.786 0.012 0.794
O58 O 0.799 0.035 0.688
O59 O 0.807 0.183 0.189
O60 O 0.808 0.239 0.295
O61 O 0.830 0.177 0.584
O62 O 0.838 0.022 0.087
O63 O 0.876 0.473 0.731
O64 O 0.879 0.663 0.231
O65 O 0.884 0.425 0.020
O66 O 0.884 0.730 0.521
O67 O 0.885 0.509 0.401
O68 O 0.894 0.620 0.904
O69 O 0.928 0.465 0.127
O70 O 0.935 0.629 0.626
O71 O 0.994 0.797 0.296
O72 O 0.997 0.235 0.803
```

Below is a geometry-optimized Li2TeSe3 structure, with properties calculated at the PBE level.

Properties
Final energy (eV per atom): -3.54
V (A^3/atom): 23.54
Theoretical density (g/cm³): 4.4
Formation energy (eV per atom): -0.868
E (MP2020) (eV per atom): -3.776

Structure (CIF):
```
data_Li2TeSe3
_symmetry_space_group_name_H-M 'P 1 21/c 1'
_symmetry_Int_Tables_number 14
_cell_length_a 5.634
_cell_length_b 12.098
_cell_length_c 8.298
_cell_angle_alpha 90.00
_cell_angle_beta 92.45
_cell_angle_gamma 90.00
loop_
_symmetry_equiv_pos_as_xyz
'x,y,z'
'-x,-y,-z'
'-x,y+1/2,-z+1/2'
'x,-y+1/2,z+1/2'
loop_
_atom_site_label
_atom_site_type_symbol
_atom_site_fract_x
_atom_site_fract_y
_atom_site_fract_z
Li1 Li 0.235 0.226 0.146
Li2 Li 0.263 0.587 0.134
Te1 Te 0.216 0.587 0.687
Se1 Se 0.238 0.097 0.871
Se2 Se 0.245 0.077 0.377
Se3 Se 0.272 0.749 0.885
```

Below is a geometry-optimized MgCu3O4 structure, with properties calculated at the PBE level.

Properties
Final energy (eV per atom): -5.27
V (A^3/atom): 10.14
Theoretical density (g/cm³): 5.7
Formation energy (eV per atom): -1.399
E (MP2020) (eV per atom): -5.610

Structure (CIF):
```
data_MgCu3O4
_symmetry_space_group_name_H-M 'P m m 2'
_symmetry_Int_Tables_number 25
_cell_length_a 4.029
_cell_length_b 18.655
_cell_length_c 3.239
_cell_angle_alpha 90.00
_cell_angle_beta 90.00
_cell_angle_gamma 90.00
loop_
_symmetry_equiv_pos_as_xyz
'x,y,z'
'-x,-y,z'
'-x,y,z'
'x,-y,z'
loop_
_atom_site_label
_atom_site_type_symbol
_atom_site_fract_x
_atom_site_fract_y
_atom_site_fract_z
Mg1 Mg 0.000 0.000 0.000
Mg2 Mg 0.500 0.250 0.720
Cu1 Cu 0.000 0.168 0.182
Cu2 Cu 0.000 0.333 0.173
Cu3 Cu 0.000 0.500 0.013
Cu4 Cu 0.500 0.082 0.537
Cu5 Cu 0.500 0.417 0.542
O1 O 0.000 0.077 0.487
O2 O 0.000 0.249 0.823
O3 O 0.000 0.420 0.493
O4 O 0.500 0.000 0.890
O5 O 0.500 0.172 0.232
O6 O 0.500 0.328 0.240
O7 O 0.500 0.500 0.881
```

Below is a geometry-optimized Hg3Pd structure, with properties calculated at the PBE level.

Properties
Final energy (eV per atom): -1.46
V (A^3/atom): 20.79
Theoretical density (g/cm³): 14.1
Formation energy (eV per atom): 0.059

Structure (CIF):
```
data_Hg3Pd
_symmetry_space_group_name_H-M 'P m -3 m'
_symmetry_Int_Tables_number 221
_symmetry_space_group_name_Hall '-P 4 2 3'
_cell_length_a 4.365
_cell_length_b 4.365
_cell_length_c 4.365
_cell_angle_alpha 90.00
_cell_angle_beta 90.00
_cell_angle_gamma 90.00
loop_
_atom_site_label
_atom_site_type_symbol
_atom_site_fract_x
_atom_site_fract_y
_atom_site_fract_z
Hg1 Hg 0.000 0.000 0.500
Pd1 Pd 0.500 0.500 0.500
```

Below is a geometry-optimized RbAuS structure, with properties calculated at the PBE level.

Properties
Final energy (eV per atom): -3.56
V (A^3/atom): 32.56
Theoretical density (g/cm³): 5.3
Formation energy (eV per atom): -0.928
E (MP2020) (eV per atom): -3.725

Structure (CIF):
```
data_RbAuS
_symmetry_space_group_name_H-M 'C m c m'
_symmetry_Int_Tables_number 63
_symmetry_space_group_name_Hall '-C 2c 2'
_cell_length_a 6.743
_cell_length_b 8.163
_cell_length_c 7.098
_cell_angle_alpha 90.00
_cell_angle_beta 90.00
_cell_angle_gamma 90.00
loop_
_atom_site_label
_atom_site_type_symbol
_atom_site_fract_x
_atom_site_fract_y
_atom_site_fract_z
Rb1 Rb 0.000 0.124 0.250
Au1 Au 0.000 0.500 0.000
S1 S 0.000 0.314 0.750
```

Below is a geometry-optimized CsRb2GaBr6 structure, with properties calculated at the PBE level.

Properties
Final energy (eV per atom): -2.88
V (A^3/atom): 41.94
Theoretical density (g/cm³): 3.4
Formation energy (eV per atom): -1.633
E (MP2020) (eV per atom): -3.204

Structure (CIF):
```
data_CsRb2GaBr6
_symmetry_space_group_name_H-M 'F m -3 m'
_symmetry_Int_Tables_number 225
_symmetry_space_group_name_Hall '-F 4 2 3'
_cell_length_a 11.882
_cell_length_b 11.882
_cell_length_c 11.882
_cell_angle_alpha 90.00
_cell_angle_beta 90.00
_cell_angle_gamma 90.00
loop_
_atom_site_label
_atom_site_type_symbol
_atom_site_fract_x
_atom_site_fract_y
_atom_site_fract_z
Cs1 Cs 0.000 0.000 0.000
Rb1 Rb 0.250 0.250 0.250
Ga1 Ga 0.000 0.000 0.500
Br1 Br 0.000 0.000 0.284
```

Below is a geometry-optimized Mg2IrPt structure, with properties calculated at the PBE level.

Properties
Final energy (eV per atom): -5.11
V (A^3/atom): 15.44
Theoretical density (g/cm³): 11.7
Formation energy (eV per atom): -0.584

Structure (CIF):
```
data_Mg2IrPt
_symmetry_space_group_name_H-M 'F m -3 m'
_symmetry_Int_Tables_number 225
_symmetry_space_group_name_Hall '-F 4 2 3'
_cell_length_a 6.275
_cell_length_b 6.275
_cell_length_c 6.275
_cell_angle_alpha 90.00
_cell_angle_beta 90.00
_cell_angle_gamma 90.00
loop_
_atom_site_label
_atom_site_type_symbol
_atom_site_fract_x
_atom_site_fract_y
_atom_site_fract_z
Mg1 Mg 0.250 0.250 0.250
Ir1 Ir 0.000 0.000 0.000
Pt1 Pt 0.000 0.000 0.500
```